! V2O5 (PBE+U, relaxed); values from VASP
&SYSTEM
  ibrav = 0, nat = 105, ntyp = 2
/
ATOMIC_SPECIES
V 50.94 V.upf
O 16.00 O.upf
ATOMIC_POSITIONS crystal
V 0.000 0.000 0.000
V 0.002 0.095 0.575
V 0.031 0.880 0.422
V 0.051 0.724 0.715
V 0.072 0.335 0.620
V 0.077 0.639 0.126
V 0.205 0.107 0.708
V 0.250 0.693 0.366
V 0.285 0.904 0.934
V 0.311 0.228 0.331
V 0.317 0.797 0.576
V 0.344 0.349 0.105
V 0.357 0.053 0.470
V 0.409 0.081 0.820
V 0.465 0.555 0.216
V 0.489 0.595 0.465
V 0.502 0.968 0.002
V 0.554 0.368 0.905
V 0.561 0.336 0.532
V 0.622 0.506 0.680
V 0.637 0.106 0.403
V 0.691 0.795 0.877
V 0.727 0.091 0.131
V 0.755 0.465 0.260
V 0.794 0.383 0.025
V 0.797 0.858 0.618
V 0.896 0.972 0.770
V 0.919 0.331 0.432
V 0.930 0.207 0.851
V 0.939 0.634 0.965
O 0.002 0.868 0.288
O 0.003 0.405 0.512
O 0.022 0.638 0.639
O 0.031 0.659 0.851
O 0.032 0.975 0.303
O 0.034 0.133 0.922
O 0.050 0.054 0.715
O 0.051 0.545 0.040
O 0.059 0.599 0.268
O 0.062 0.002 0.494
O 0.127 0.203 0.593
O 0.143 0.601 0.338
O 0.143 0.781 0.447
O 0.143 0.945 0.012
O 0.176 0.404 0.651
O 0.193 0.774 0.674
O 0.205 0.343 0.095
O 0.207 0.684 0.100
O 0.223 0.329 0.353
O 0.256 0.094 0.372
O 0.260 0.996 0.814
O 0.267 0.785 0.907
O 0.277 0.778 0.268
O 0.287 0.187 0.773
O 0.313 0.913 0.488
O 0.316 0.074 0.598
O 0.349 0.687 0.491
O 0.372 0.911 0.057
O 0.377 0.475 0.149
O 0.385 0.591 0.338
O 0.389 0.246 0.200
O 0.407 0.207 0.428
O 0.420 0.333 0.979
O 0.429 0.803 0.641
O 0.445 0.935 0.872
O 0.455 0.295 0.615
O 0.459 0.108 0.940
O 0.495 0.661 0.141
O 0.508 0.023 0.435
O 0.508 0.452 0.456
O 0.515 0.094 0.729
O 0.533 0.468 0.800
O 0.535 0.593 0.595
O 0.592 0.725 0.840
O 0.593 0.655 0.394
O 0.600 0.482 0.244
O 0.613 0.029 0.090
O 0.622 0.268 0.855
O 0.633 0.872 0.975
O 0.634 0.231 0.460
O 0.648 0.416 0.995
O 0.663 0.392 0.610
O 0.689 0.935 0.541
O 0.697 0.097 0.270
O 0.729 0.217 0.078
O 0.731 0.748 0.627
O 0.738 0.023 0.480
O 0.745 0.548 0.711
O 0.750 0.890 0.768
O 0.788 0.407 0.386
O 0.808 0.702 0.927
O 0.809 0.378 0.161
O 0.819 0.577 0.229
O 0.835 0.116 0.825
O 0.857 0.501 0.982
O 0.867 0.023 0.637
O 0.872 0.029 0.089
O 0.873 0.302 0.937
O 0.905 0.846 0.499
O 0.908 0.209 0.512
O 0.948 0.833 0.701
O 0.949 0.932 0.895
O 0.968 0.725 0.058
O 0.979 0.290 0.738
O 0.997 0.307 0.326
CELL_PARAMETERS angstrom
11.436 0.000 0.000
0.604 12.631 0.000
1.184 1.244 12.857
! Final energy: -0.268 Ha/atom
! Energy with MP2020 corrections: -830.0 eV/cell
! Formation enthalpy at 0 K: -171.3 kJ/mol of atoms